The following is a DFT calculation (GGA-PBE) of a geometry-optimized Er5In3 structure.

Calculated values
Energy of formation from the pure elements ... -2.79 eV/f.u.
Symmetry ... P6_3/mcm
Total DFT energy (no corrections) ... -67.759 eV per cell
Density ... 8.501 g/cm3

Unit cell a=8.969 b=8.969 c=6.622 alpha=90.00 beta=90.00 gamma=120.00
Atoms (fractional coordinates):
Er (0.000, 0.250, 0.250)
Er (0.000, 0.750, 0.750)
Er (0.250, 0.000, 0.250)
Er (0.250, 0.250, 0.750)
Er (0.333, 0.667, 0.000)
Er (0.333, 0.667, 0.500)
Er (0.667, 0.333, 0.000)
Er (0.667, 0.333, 0.500)
Er (0.750, 0.000, 0.750)
Er (0.750, 0.750, 0.250)
In (0.000, 0.394, 0.750)
In (0.000, 0.606, 0.250)
In (0.394, 0.000, 0.750)
In (0.394, 0.394, 0.250)
In (0.606, 0.000, 0.250)
In (0.606, 0.606, 0.750)

---

The following is a DFT calculation (GGA-PBE) of a geometry-optimized Er3In structure.

Calculated values
Energy of formation from the pure elements ... -1.02 eV/f.u.
Symmetry ... Pm-3m
Total DFT energy (no corrections) ... -17.470 eV per cell
Density ... 9.256 g/cm3

Unit cell a=4.800 b=4.800 c=4.800 alpha=90.00 beta=90.00 gamma=90.00
Atoms (fractional coordinates):
Er (0.000, 0.000, 0.500)
Er (0.000, 0.500, 0.000)
Er (0.500, 0.000, 0.000)
In (0.500, 0.500, 0.500)

---

The following is a DFT calculation (GGA-PBE) of a geometry-optimized Er3In5 structure.

Calculated values
Energy of formation from the pure elements ... -3.33 eV/f.u.
Symmetry ... Cmcm
Total DFT energy (no corrections) ... -61.586 eV per cell
Density ... 8.667 g/cm3

Unit cell a=6.385 b=6.385 c=10.341 alpha=90.00 beta=90.00 gamma=77.89
Atoms (fractional coordinates):
Er (0.129, 0.871, 0.750)
Er (0.297, 0.297, 0.000)
Er (0.297, 0.297, 0.500)
Er (0.703, 0.703, 0.000)
Er (0.703, 0.703, 0.500)
Er (0.871, 0.129, 0.250)
In (0.008, 0.431, 0.750)
In (0.190, 0.810, 0.047)
In (0.190, 0.810, 0.453)
In (0.431, 0.008, 0.250)
In (0.487, 0.513, 0.250)
In (0.513, 0.487, 0.750)
In (0.569, 0.992, 0.750)
In (0.810, 0.190, 0.547)
In (0.810, 0.190, 0.953)
In (0.992, 0.569, 0.250)

---

The following is a DFT calculation (GGA-PBE) of a geometry-optimized Er4InIr structure.

Calculated values
Energy of formation from the pure elements ... -3.61 eV/f.u.
Symmetry ... F-43m
Total DFT energy (no corrections) ... -133.872 eV per cell
Density ... 10.407 g/cm3

Unit cell a=9.587 b=9.587 c=9.587 alpha=60.00 beta=60.00 gamma=60.00
Atoms (fractional coordinates):
Er (0.059, 0.059, 0.441)
Er (0.059, 0.441, 0.059)
Er (0.059, 0.441, 0.441)
Er (0.190, 0.190, 0.810)
Er (0.190, 0.810, 0.190)
Er (0.190, 0.810, 0.810)
Er (0.202, 0.599, 0.599)
Er (0.441, 0.059, 0.059)
Er (0.441, 0.059, 0.441)
Er (0.441, 0.441, 0.059)
Er (0.599, 0.202, 0.599)
Er (0.599, 0.599, 0.202)
Er (0.599, 0.599, 0.599)
Er (0.810, 0.190, 0.190)
Er (0.810, 0.190, 0.810)
Er (0.810, 0.810, 0.190)
In (0.501, 0.833, 0.833)
In (0.833, 0.501, 0.833)
In (0.833, 0.833, 0.501)
In (0.833, 0.833, 0.833)
Ir (0.391, 0.391, 0.391)
Ir (0.391, 0.391, 0.826)
Ir (0.391, 0.826, 0.391)
Ir (0.826, 0.391, 0.391)